Record 1
# Ba2MgCu3F14

Ba2MgCu3F14 after structural relaxation (PBE, the Materials Project database).

* E_form: -2.798 eV/atom
* raw total energy: -4.70 eV per atom

Cell lengths 5.2645, 7.3942, 14.5504 Å; angles 91.43, 90.24, 110.39 degrees
With the nearest neighbours (Å) after each atom.
Fractional coordinates of all 40 atoms:
F 0.5940 0.7474 0.0428  2 Cu 1.98-2.20
F 0.4927 0.0993 0.1218  1 Cu 1.92, 1 Mg 2.10
F 0.9099 0.0188 0.1613  1 Cu 1.89
F 0.8894 0.9839 0.3381  1 Cu 1.90
F 0.1075 0.0147 0.6604  1 Cu 1.90
F 0.3948 0.8962 0.3789  1 Cu 1.89
F 0.7084 0.8409 0.5189  2 Cu 1.90-1.96
F 0.1346 0.7333 0.5437  1 Cu 1.94
F 0.0429 0.6753 0.7246  1 Cu 1.95
F 0.8363 0.5049 0.0942  1 Cu 1.90
F 0.6604 0.5031 0.5944  1 Cu 1.90
F 0.8767 0.1620 0.9826  2 Cu 1.95-1.97
F 0.8040 0.2208 0.7860  1 Cu 1.96, 1 Mg 2.13
F 0.6328 0.6810 0.2232  1 Cu 1.95
F 0.4044 0.2509 0.9557  2 Cu 1.98-2.20
F 0.1220 0.8367 0.0161  2 Cu 1.95-1.96
F 0.6022 0.1025 0.6196  1 Cu 1.89
F 0.2885 0.1580 0.4797  2 Cu 1.90-1.96
F 0.4159 0.2203 0.2883  1 Cu 1.95, 1 Mg 2.14
F 0.5817 0.7782 0.7103  1 Cu 1.95, 1 Mg 2.14
F 0.8627 0.2657 0.4546  1 Cu 1.94
F 0.9552 0.3236 0.2737  1 Cu 1.95
F 0.1616 0.4936 0.9041  1 Cu 1.90
F 0.3370 0.4956 0.4039  1 Cu 1.90
F 0.5056 0.8995 0.8770  1 Cu 1.92, 1 Mg 2.11
F 0.0882 0.9797 0.8373  1 Cu 1.89
F 0.1941 0.7774 0.2124  1 Cu 1.96, 1 Mg 2.13
F 0.3652 0.3175 0.7752  1 Cu 1.95
Cu 0.1331 0.2346 0.3713  6 F 1.90-1.96
Cu 0.0975 0.2302 0.8716  6 F 1.89-1.98
Cu 0.4994 0.9995 0.9995  4 F 1.92-1.95
Cu 0.8642 0.7641 0.6270  6 F 1.90-1.96
Cu 0.9007 0.7682 0.1268  6 F 1.89-1.98
Cu 0.4987 0.9995 0.4992  4 F 1.89-1.90
Ba 0.2574 0.3782 0.1219  10 F 2.68-2.95
Ba 0.7405 0.6203 0.8765  10 F 2.68-2.95
Ba 0.1185 0.3772 0.6223  10 F 2.69-2.93
Ba 0.8788 0.6214 0.3762  10 F 2.69-2.93
Mg 0.5690 0.9975 0.2491  6 F 2.10-2.17
Mg 0.4285 0.0008 0.7495  6 F 2.11-2.17

***

Record 2
# SrHfO3

SrHfO3 after structural relaxation (PBE, the Materials Project database).

* E_form: -3.813 eV/atom
* raw total energy: -8.70 eV per atom

Cell lengths 5.8006, 5.8325, 8.2129 Å; angles 90.00, 90.00, 90.00 degrees
With the nearest neighbours (Å) after each atom.
Fractional coordinates of all 20 atoms:
O 0.2816 0.7815 0.4644  2 Hf 2.09
O 0.0678 0.0148 0.7500  2 Hf 2.09
O 0.7816 0.7185 0.9644  2 Hf 2.09
O 0.2184 0.2815 0.4644  2 Hf 2.09
O 0.2184 0.2815 0.0356  2 Hf 2.09
O 0.7184 0.2185 0.9644  2 Hf 2.09
O 0.7816 0.7185 0.5356  2 Hf 2.09
O 0.9322 0.9852 0.2500  2 Hf 2.09
O 0.2816 0.7815 0.0356  2 Hf 2.09
O 0.7184 0.2185 0.5356  2 Hf 2.09
O 0.4322 0.5148 0.7500  2 Hf 2.09
O 0.5678 0.4852 0.2500  2 Hf 2.09
Sr 0.4945 0.0255 0.2500  6 O 2.55-2.81
Sr 0.0055 0.5255 0.2500  6 O 2.55-2.81
Sr 0.9945 0.4745 0.7500  6 O 2.55-2.81
Sr 0.5055 0.9745 0.7500  6 O 2.55-2.81
Hf 0.5000 0.5000 0.5000  6 O 2.09
Hf 0.0000 0.0000 0.5000  6 O 2.09
Hf 0.5000 0.5000 0.0000  6 O 2.09
Hf 0.0000 0.0000 0.0000  6 O 2.09

***

Record 3
# La3Si6Pd20

La3Si6Pd20 after structural relaxation (PBE, the Materials Project database).

* E_form: -0.809 eV/atom
* raw total energy: -6.01 eV per atom

Cell lengths 8.8086, 8.8086, 8.8086 Å; angles 60.00, 60.00, 60.00 degrees
With the nearest neighbours (Å) after each atom.
Fractional coordinates of all 29 atoms:
Si 0.2678 0.7322 0.7322  8 Pd 2.46-2.49
Si 0.2678 0.2678 0.7322  8 Pd 2.46-2.49
Si 0.7322 0.2678 0.2678  8 Pd 2.46-2.49
Si 0.7322 0.7322 0.2678  8 Pd 2.46-2.49
Si 0.2678 0.7322 0.2678  8 Pd 2.46-2.49
Si 0.7322 0.2678 0.7322  8 Pd 2.46-2.49
La 0.0000 0.0000 0.0000  12 Pd 3.05, 6 Si 3.34
La 0.7500 0.7500 0.7500  4 Pd 2.92
La 0.2500 0.2500 0.2500  4 Pd 2.92
Pd 0.0000 0.3465 0.0000  2 Si 2.46, 1 Pd 2.70
Pd 0.3465 0.0000 0.0000  2 Si 2.46, 1 Pd 2.70
Pd 0.6146 0.6146 0.6146  3 Si 2.49
Pd 0.3854 0.3854 0.8439  3 Si 2.49
Pd 0.0000 0.3465 0.6535  2 Si 2.46, 1 Pd 2.70
Pd 0.8439 0.3854 0.3854  3 Si 2.49
Pd 0.6146 0.6146 0.1561  3 Si 2.49
Pd 0.6535 0.3465 0.0000  2 Si 2.46, 1 Pd 2.70
Pd 0.6146 0.1561 0.6146  3 Si 2.49
Pd 0.3465 0.6535 0.0000  2 Si 2.46, 1 Pd 2.70
Pd 0.3854 0.8439 0.3854  3 Si 2.49
Pd 0.3854 0.3854 0.3854  3 Si 2.49
Pd 0.6535 0.0000 0.0000  2 Si 2.46, 1 Pd 2.70
Pd 0.3465 0.0000 0.6535  2 Si 2.46, 1 Pd 2.70
Pd 0.0000 0.6535 0.0000  2 Si 2.46, 1 Pd 2.70
Pd 0.0000 0.6535 0.3465  2 Si 2.46, 1 Pd 2.70
Pd 0.1561 0.6146 0.6146  3 Si 2.49
Pd 0.0000 0.0000 0.6535  2 Si 2.46, 1 Pd 2.70
Pd 0.6535 0.0000 0.3465  2 Si 2.46, 1 Pd 2.70
Pd 0.0000 0.0000 0.3465  2 Si 2.46, 1 Pd 2.70

***

Record 4
# SmPb3

SmPb3 after structural relaxation (PBE, the Materials Project database).

* E_form: -0.342 eV/atom
* raw total energy: -4.31 eV per atom

Cell lengths 4.9944, 4.9944, 4.9944 Å; angles 90.00, 90.00, 90.00 degrees
With the nearest neighbours (Å) after each atom.
Fractional coordinates of all 4 atoms:
Sm 0.5000 0.5000 0.5000  12 Pb 3.53
Pb 0.0000 0.5000 0.0000  8 Pb 3.53, 4 Sm 3.53
Pb 0.0000 0.0000 0.5000  4 Sm 3.53, 8 Pb 3.53
Pb 0.5000 0.0000 0.0000  4 Sm 3.53, 8 Pb 3.53

***

Record 5
# MgZr3SiS5O24

MgZr3SiS5O24 after structural relaxation (PBE, the Materials Project database).

* E_form: -2.599 eV/atom
* raw total energy: -7.18 eV per atom

Cell lengths 8.9682, 8.9621, 23.0717 Å; angles 89.88, 89.90, 120.03 degrees
With the nearest neighbours (Å) after each atom.
Fractional coordinates of all 102 atoms:
O 0.2039 0.1792 0.0942  1 S 1.52
O 0.1263 0.4868 0.5734  1 S 1.50
O 0.8486 0.5475 0.0327  1 S 1.47
O 0.6333 0.4970 0.6405  1 Si 1.56
O 0.6987 0.1528 0.0327  1 S 1.48
O 0.5407 0.8462 0.4678  1 S 1.50
O 0.4619 0.3040 0.7417  1 S 1.45
O 0.7924 0.8220 0.1983  1 S 1.51
O 0.3558 0.8722 0.5734  1 S 1.50
O 0.4846 0.3571 0.4242  1 S 1.49
O 0.4627 0.1526 0.2402  1 S 1.45
O 0.8470 0.3032 0.5310  1 S 1.51
O 0.1647 0.4631 0.9736  1 Si 1.63
O 0.8194 0.7918 0.3021  1 S 1.46
O 0.9722 0.1802 0.3022  1 S 1.46
O 0.5145 0.6362 0.8645  1 S 1.47
O 0.2067 0.0274 0.5916  1 S 1.48
O 0.9778 0.1821 0.5913  1 S 1.48
O 0.8763 0.3616 0.6355  1 S 1.44
O 0.6967 0.5341 0.5265  1 Si 1.67
O 0.1354 0.4981 0.8599  1 Si 1.62
O 0.4542 0.3031 0.0326  1 S 1.48
O 0.4966 0.1430 0.9271  1 Si 1.62
O 0.3612 0.4886 0.3644  1 S 1.50
O 0.2080 0.0277 0.3022  1 S 1.46
O 0.0239 0.8204 0.4062  1 S 1.45
O 0.3049 0.8375 0.9737  1 Si 1.63
O 0.1539 0.6942 0.7557  1 S 1.49
O 0.1630 0.9711 0.9067  1 Si 1.61
O 0.6917 0.1554 0.7392  1 S 1.45
O 0.3070 0.8462 0.2594  1 S 1.53
O 0.6899 0.5375 0.2403  1 S 1.45
O 0.8347 0.8134 0.5926  1 Si 1.64
O 0.3106 0.4615 0.7577  1 S 1.48
O 0.9706 0.7892 0.8009  1 S 1.48
O 0.7936 0.8192 0.9080  1 S 1.47
O 0.3039 0.4575 0.4677  1 S 1.49
O 0.5177 0.8710 0.0766  1 S 1.47
O 0.9758 0.7970 0.0941  1 S 1.52
O 0.8468 0.5351 0.7408  1 S 1.44
O 0.5390 0.6928 0.2595  1 S 1.52
O 0.2078 0.1804 0.8010  1 S 1.50
O 0.1780 0.2037 0.4066  1 S 1.45
O 0.4872 0.1206 0.6354  1 S 1.44
O 0.5032 0.6458 0.5714  1 Si 1.66
O 0.1539 0.4610 0.2595  1 S 1.52
O 0.4859 0.3583 0.1368  1 S 1.46
O 0.8731 0.5138 0.1368  1 S 1.46
O 0.0295 0.2078 0.1984  1 S 1.51
O 0.6406 0.1264 0.1365  1 S 1.46
O 0.5111 0.8707 0.3644  1 S 1.51
O 0.5447 0.6963 0.9692  1 S 1.48
O 0.4593 0.1522 0.5309  1 S 1.50
O 0.1288 0.6401 0.3642  1 S 1.51
O 0.1514 0.6946 0.4677  1 S 1.48
O 0.1277 0.6434 0.0777  1 S 1.49
O 0.6402 0.1261 0.4246  1 S 1.48
O 0.8599 0.3622 0.9273  1 Si 1.62
O 0.8176 0.0276 0.8009  1 S 1.48
O 0.0281 0.8209 0.6979  1 S 1.51
O 0.7952 0.9734 0.4065  1 S 1.45
O 0.0191 0.1882 0.9069  1 Si 1.61
O 0.6407 0.5149 0.9258  1 S 1.48
O 0.1803 0.2076 0.6979  1 S 1.50
O 0.7947 0.9748 0.6976  1 S 1.52
O 0.5408 0.8456 0.7565  1 S 1.48
O 0.3587 0.4861 0.0772  1 S 1.48
O 0.8224 0.0260 0.0940  1 S 1.52
O 0.1783 0.9704 0.1984  1 S 1.51
O 0.8740 0.5113 0.4235  1 S 1.50
O 0.8476 0.3100 0.2402  1 S 1.45
O 0.3691 0.8683 0.8599  1 Si 1.62
Zr 0.9914 0.9914 0.6450  4 O 1.94-2.16
Zr 0.0088 0.0087 0.8574  4 O 1.94-2.16
Zr 0.0007 0.0011 0.1444  6 O 2.07-2.15
Zr 0.3228 0.6636 0.0186  3 O 1.94-2.15
Zr 0.3401 0.6674 0.5251  3 O 1.90-2.10
Zr 0.3249 0.6693 0.8121  3 O 1.96-2.11
Zr 0.6662 0.3273 0.9737  3 O 1.92-2.11
Zr 0.3335 0.6675 0.3094  6 O 2.08-2.15
Zr 0.6700 0.3454 0.4806  2 O 1.91-2.13
Mg 0.9992 0.9994 0.3532  6 O 2.11-2.12
Mg 0.6633 0.3398 0.6884  3 O 1.91-2.09
Mg 0.6663 0.3336 0.1870  6 O 2.09-2.13
Si 0.6679 0.6179 0.5874  4 O 1.56-1.67
Si 0.0452 0.3780 0.9162  4 O 1.61-1.63
Si 0.3316 0.9538 0.9160  4 O 1.61-1.63
S 0.7095 0.0055 0.7495  4 O 1.45-1.52
S 0.3823 0.3360 0.0855  4 O 1.46-1.52
S 0.9523 0.6188 0.0855  4 O 1.46-1.52
S 0.7149 0.7085 0.2510  4 O 1.45-1.52
S 0.9936 0.7045 0.7496  4 O 1.44-1.51
S 0.3806 0.0481 0.5850  4 O 1.44-1.50
S 0.2915 0.0067 0.2510  4 O 1.45-1.53
S 0.2953 0.2904 0.7488  4 O 1.45-1.50
S 0.3276 0.3724 0.4158  4 O 1.45-1.50
S 0.6271 0.9565 0.4158  4 O 1.45-1.51
S 0.6218 0.6675 0.9164  4 O 1.47-1.48
S 0.9935 0.2852 0.2510  4 O 1.45-1.52
S 0.0452 0.6720 0.4159  4 O 1.45-1.51
S 0.9527 0.3329 0.5849  4 O 1.44-1.51
S 0.6650 0.0457 0.0855  4 O 1.46-1.52

***

Record 6
# SrZrP2O8

SrZrP2O8 after structural relaxation (PBE, the Materials Project database).

* E_form: -3.265 eV/atom
* raw total energy: -7.86 eV per atom

Cell lengths 5.1919, 7.8519, 8.0275 Å; angles 92.30, 95.99, 90.33 degrees
With the nearest neighbours (Å) after each atom.
Fractional coordinates of all 24 atoms:
P 0.7840 0.7500 0.3723  4 O 1.51-1.59
P 0.2002 0.7891 0.8770  4 O 1.53-1.57
P 0.7998 0.2109 0.1230  4 O 1.53-1.57
P 0.2160 0.2500 0.6278  4 O 1.51-1.59
Zr 0.6614 0.0259 0.7230  6 O 2.05-2.22
Zr 0.3386 0.9741 0.2770  6 O 2.05-2.22
O 0.4113 0.2405 0.7903  1 P 1.57
O 0.2283 0.9170 0.0280  1 P 1.54
O 0.9308 0.2252 0.6662  1 P 1.56
O 0.1898 0.6023 0.9235  1 P 1.53
O 0.0482 0.1677 0.2385  1 P 1.55
O 0.5887 0.7595 0.2097  1 P 1.57
O 0.7717 0.0830 0.9720  1 P 1.54
O 0.5618 0.1861 0.2252  1 P 1.57
O 0.4382 0.8139 0.7748  1 P 1.57
O 0.6890 0.9159 0.4670  1 P 1.59
O 0.2620 0.4130 0.5411  1 P 1.51
O 0.3110 0.0841 0.5330  1 P 1.59
O 0.9518 0.8323 0.7615  1 P 1.55
O 0.7380 0.5870 0.4589  1 P 1.51
O 0.8102 0.3977 0.0765  1 P 1.53
O 0.0692 0.7748 0.3338  1 P 1.56
Sr 0.3012 0.4771 0.2319  8 O 2.58-2.86
Sr 0.6988 0.5229 0.7681  8 O 2.58-2.86